36
Lattice="5.5786 0.0000 0.0000 0.0000 10.3928 0.0000 0.0000 0.0000 11.7888" Properties=species:S:1:pos:R:3 comment="Te3W4N2 (PBE, relaxed)" formation_energy_mev_per_atom=124 corrected_energy_ev_per_atom=-8.5350 energy_ev_per_cell=-304.37 pbc="T T T"
Te 4.7308 2.5982 1.5225
Te 1.9415 2.5982 4.3719
Te 0.8478 7.7946 10.2663
Te 3.6371 7.7946 7.4169
Te 3.0602 5.5415 3.6755
Te 0.2709 10.0476 2.2189
Te 2.5183 0.3451 8.1133
Te 5.3076 4.8513 9.5700
Te 2.5183 4.8513 8.1133
Te 5.3076 0.3451 9.5700
Te 3.0602 10.0476 3.6755
Te 0.2709 5.5415 2.2189
W 3.3725 2.5982 9.6370
W 0.5832 2.5982 8.0462
W 2.2061 7.7946 2.1518
W 4.9954 7.7946 3.7426
W 3.6277 2.5982 6.7313
W 0.8384 2.5982 10.9519
W 1.9509 7.7946 5.0575
W 4.7402 7.7946 0.8369
W 4.0851 4.8195 0.1507
W 1.2958 0.3769 5.7437
W 1.4935 10.0159 11.6382
W 4.2828 5.5733 6.0451
W 1.4935 5.5733 11.6382
W 4.2828 10.0159 6.0451
W 4.0851 0.3769 0.1507
W 1.2958 4.8195 5.7437
N 3.1327 6.5192 0.6930
N 0.3434 9.0699 5.2014
N 2.4459 1.3229 11.0958
N 5.2352 3.8735 6.5875
N 2.4459 3.8735 11.0958
N 5.2352 1.3229 6.5875
N 3.1327 9.0699 0.6930
N 0.3434 6.5192 5.2014

---

12
Lattice="-0.1810 0.2844 4.2961 6.7592 -1.3781 0.3759 1.4340 6.9246 -0.3980" Properties=species:S:1:pos:R:3 comment="TmSiRu (PBE, relaxed)" formation_energy_mev_per_atom=-864 energy_ev_per_cell=-87.08 pbc="T T T"
Tm 7.7883 4.3330 1.1219
Tm 0.2239 1.4979 3.1522
Tm 4.2313 4.1656 0.9831
Tm 3.7809 1.6653 3.2910
Si 2.1459 0.3905 1.1452
Si 5.8663 5.4404 3.1289
Si 5.9380 1.6935 1.2187
Si 2.0742 4.1373 3.0554
Ru 6.3894 2.9712 3.3144
Ru 1.6229 2.8597 0.9597
Ru 3.5361 6.2019 2.9803
Ru 4.4761 -0.3710 1.2937

---

24
Lattice="-1.9864 6.6931 -0.0325 -4.3004 -4.9295 -2.4395 -4.9524 -1.4136 11.5867" Properties=species:S:1:pos:R:3 comment="BaHgO2 (PBE, relaxed)" formation_energy_mev_per_atom=-1888 corrected_energy_ev_per_atom=-4.9180 energy_ev_per_cell=-109.79 pbc="T T T"
Ba -8.3204 -2.4229 9.5727
Ba -5.0728 2.1581 4.5816
Ba -2.4762 -0.7068 5.7934
Ba -6.1664 -1.8081 4.5331
Ba -2.9188 2.7729 -0.4579
Ba 0.0000 0.0000 0.0000
Hg -5.1339 -3.2508 0.8781
Hg -6.0784 -0.0684 0.8626
Hg -6.1053 3.6008 8.2367
Hg -5.1608 0.4184 8.2522
Hg -8.1500 1.2569 7.0768
Hg -3.0892 -0.9069 2.0380
O -4.7910 0.8077 -0.4258
O -8.5698 0.1375 8.7064
O -2.1224 -1.6307 0.4173
O -5.2639 0.8999 10.2124
O -4.5455 3.5550 6.9522
O -5.3049 -2.8086 -1.0866
O -4.9624 -3.6906 2.8433
O -7.3640 -0.9462 2.1516
O -7.7280 2.3770 5.4483
O -7.6656 3.6442 9.5207
O -5.0594 -0.0613 6.2914
O -4.0582 -0.1839 3.6576

---

66
Lattice="8.8287 7.0647 3.3470 -5.3713 9.0277 5.3580 -1.3186 -11.5522 1.9660" Properties=species:S:1:pos:R:3 comment="Na6BSe5O21 (PBE, relaxed)" formation_energy_mev_per_atom=-1507 corrected_energy_ev_per_atom=-5.6278 energy_ev_per_cell=-342.58 pbc="T T T"
Na 3.0419 2.2021 7.9472
Na 6.7646 3.9986 3.1475
Na 6.8297 -0.8576 5.5600
Na 1.8415 1.7741 2.6762
Na -0.2903 4.9258 3.9945
Na 1.2262 -5.9846 3.6478
Na 3.4796 9.9682 7.0324
Na -0.1378 0.1708 6.6673
Na 1.8954 6.6644 7.6432
Na 0.3828 -1.4757 3.3786
Na 5.1491 7.1888 3.7765
Na -3.1496 -3.2972 6.5437
B -2.4806 2.7608 5.8383
B 4.6194 1.7793 4.8328
Se 0.0000 0.0000 0.0000
Se 1.7287 8.0462 4.3525
Se -0.5468 3.5332 7.7567
Se -3.7000 5.3133 5.7184
Se -1.5408 1.6462 3.4111
Se -4.1347 0.5505 6.4668
Se 3.2336 4.2594 4.9487
Se -2.1029 -4.4115 3.1841
Se 3.1998 -0.5671 5.5838
Se -0.0528 9.7994 7.6254
O 3.7578 -2.2310 2.6634
O 5.4810 5.7896 7.0021
O -5.5752 -3.3662 6.3972
O 7.3599 6.2578 3.3820
O 1.9085 6.0576 9.9972
O 0.5846 0.1310 1.5655
O 0.3433 7.1314 4.5612
O 1.4427 -4.2339 5.2212
O 2.5132 8.1810 5.8243
O -0.0214 -1.9983 5.7353
O -0.0013 5.1078 7.7016
O 1.6592 -2.8062 1.7585
O 6.2374 7.7347 5.9076
O -3.6176 -0.9561 5.9744
O 0.6098 2.3520 7.8935
O 3.6965 12.2764 8.2347
O -0.7325 2.8029 2.5391
O 0.7039 -8.3511 2.6747
O 3.6116 -5.7108 3.4900
O -2.4507 5.6991 4.7187
O -0.5147 0.7918 4.3733
O 3.6315 8.3001 8.7600
O 2.6760 4.8916 6.3579
O -1.1361 -3.1395 2.8050
O 3.9176 -2.0416 5.6681
O -1.1797 9.3696 6.5110
O 4.6522 4.9056 4.3988
O -3.3117 -4.0814 4.2621
O 2.3176 -0.2900 4.2137
O 0.6196 8.5459 8.4674
O 2.0745 4.1208 3.7587
O -1.2748 -5.8137 3.5406
O 2.4017 -0.1176 6.9766
O 1.0763 10.8907 7.0661
O 3.5438 2.5833 5.4515
O 5.9863 2.3312 4.9475
O 4.6326 0.4835 5.5449
O 4.3149 1.7191 3.3871
O -2.6564 2.6424 4.3750
O -2.6089 1.4634 6.5356
O -3.5377 3.6582 6.3512
O -1.1192 3.2792 6.0912

---

42
Lattice="-4.2422 -5.2857 -0.1038 6.0979 -4.9897 4.8738 -0.3557 0.1034 9.2727" Properties=species:S:1:pos:R:3 comment="Dy5Si2BO13 (PBE, relaxed)" formation_energy_mev_per_atom=-3722 corrected_energy_ev_per_atom=-8.7162 energy_ev_per_cell=-348.22 pbc="T T T"
Dy -1.1551 -5.5962 4.6863
Dy 2.6441 -4.5649 9.4416
Dy 0.6054 -7.1052 9.3918
Dy 0.8800 -3.0604 4.7361
Dy 3.6355 -7.4987 11.9520
Dy -0.9584 -3.7785 10.2594
Dy 2.3945 -6.3817 5.7919
Dy 5.9857 -4.9422 7.0369
Dy 4.3085 -3.7111 12.8973
Dy 1.2061 -1.1301 8.2593
Si 3.6509 -7.4408 8.3784
Si 2.2302 -1.8311 2.0981
Si 3.5186 -2.9493 6.3860
Si -0.0337 -0.0846 5.6883
B 1.3762 -5.6868 12.0201
B 0.1495 -4.6179 7.7247
O 1.3036 -7.1984 12.0066
O -0.9889 -5.2937 8.4883
O 2.4620 -8.1459 7.5035
O 0.6487 -2.2344 2.0310
O 3.0970 -4.2469 5.4853
O -0.4902 -1.4096 6.5467
O -1.9597 -5.4844 1.9672
O 0.4689 -7.5215 5.4210
O -3.0980 -4.6589 6.4830
O 2.8363 -5.2887 12.0441
O 0.5479 -3.3788 8.5259
O 4.0982 -6.1071 7.5435
O 0.9897 -5.2173 3.9119
O -0.2019 -4.3083 6.3241
O -1.2016 -3.4569 3.8234
O 2.6692 -2.3403 10.0908
O 3.9542 -3.3285 7.8920
O 4.8051 -4.0597 10.3520
O 0.8197 -5.2143 10.7075
O 1.3210 -5.5597 7.8055
O 2.9487 -6.9044 9.7608
O 2.8288 -2.3396 3.5304
O 2.2417 -1.9231 6.3126
O 0.6742 -0.6257 4.3112
O 3.9618 -7.6213 4.8607
O 5.7397 -4.8837 14.1146

---

8
Lattice="-2.9218 1.8016 4.2850 -1.0406 -5.1727 1.4653 2.4009 -1.7070 5.9111" Properties=species:S:1:pos:R:3 comment="Zn2Si2AsP3 (PBE, relaxed)" formation_energy_mev_per_atom=-279 energy_ev_per_cell=-36.50 pbc="T T T"
Zn -1.3034 -0.8208 6.5591
Zn -2.8847 1.7511 4.2829
Si -0.3064 -4.2600 5.0687
Si -1.9710 -1.6375 2.9122
As -0.1901 -5.0544 7.3007
P -1.1624 -1.7249 8.7552
P 0.0517 -0.8102 2.2729
P -1.8210 -2.5616 4.9925

---

60
Lattice="8.4475 0.0000 0.0000 0.0000 11.6381 0.0000 0.0000 0.0000 17.5074" Properties=species:S:1:pos:R:3 comment="CoC8N2Cl4 (PBE, relaxed)" formation_energy_mev_per_atom=1207 corrected_energy_ev_per_atom=-5.7933 energy_ev_per_cell=-337.77 pbc="T T T"
Co 2.1119 2.5752 9.5462
Co 2.1119 8.3943 16.7149
Co 6.3356 9.0628 7.9612
Co 6.3356 3.2438 0.7925
C 2.1119 1.8515 15.5653
C 2.1119 7.6706 10.6958
C 6.3356 9.7865 1.9421
C 6.3356 3.9675 6.8116
C 2.1119 1.7291 0.5739
C 2.1119 7.5481 8.1798
C 6.3356 9.9090 16.9335
C 6.3356 4.0900 9.3276
C 2.1119 5.5669 3.9484
C 2.1119 11.3859 4.8053
C 6.3356 6.0712 13.5590
C 6.3356 0.2522 12.7021
C 2.8016 1.9082 14.3612
C 1.4222 7.7272 11.8999
C 7.0253 9.7299 3.1462
C 5.6459 3.9108 5.6075
C 5.6459 9.7299 3.1462
C 7.0253 3.9108 5.6075
C 1.4222 1.9082 14.3612
C 2.8016 7.7272 11.8999
C 2.1119 3.5450 10.9674
C 2.1119 9.3640 15.2937
C 6.3356 8.0931 6.5400
C 6.3356 2.2741 2.2137
C 3.4007 5.9135 3.2920
C 0.8230 0.0944 5.4617
C 7.6245 5.7246 14.2154
C 5.0467 11.5436 12.0456
C 5.0467 5.7246 14.2154
C 7.6245 11.5436 12.0456
C 0.8230 5.9135 3.2920
C 3.4007 0.0944 5.4617
N 2.1119 1.7824 16.8871
N 2.1119 7.6014 9.3740
N 6.3356 9.8557 0.6203
N 6.3356 4.0366 8.1334
N 2.1119 6.1969 2.6913
N 2.1119 0.3778 6.0624
N 6.3356 5.4412 14.8161
N 6.3356 11.2602 11.4450
Cl 2.1119 0.5834 10.2314
Cl 2.1119 6.4024 16.0297
Cl 6.3356 11.0547 7.2760
Cl 6.3356 5.2357 1.4777
Cl 0.6702 4.0367 11.6936
Cl 3.5535 9.8558 14.5675
Cl 4.8939 7.6013 5.8138
Cl 7.7773 1.7823 2.9399
Cl 7.7773 7.6013 5.8138
Cl 4.8939 1.7823 2.9399
Cl 3.5535 4.0367 11.6936
Cl 0.6702 9.8558 14.5675
Cl 2.1119 3.9047 7.8919
Cl 2.1119 9.7237 0.8618
Cl 6.3356 7.7333 9.6155
Cl 6.3356 1.9143 16.6456

---

5
Lattice="-1.9384 1.9384 5.1383 1.9384 -1.9384 5.1383 1.9384 1.9384 -5.1383" Properties=species:S:1:pos:R:3 comment="ErMn2Si2 (PBE, relaxed)" formation_energy_mev_per_atom=-606 corrected_energy_ev_per_atom=-7.3544 energy_ev_per_cell=-36.91 pbc="T T T"
Er 0.0000 0.0000 0.0000
Mn 0.0000 1.9384 2.5691
Mn 1.9384 0.0000 2.5691
Si 0.0000 0.0000 6.3656
Si 0.0000 0.0000 3.9109